24
Lattice="6.930 0.000 0.000 0.000 13.720 0.000 -2.290 0.000 5.323" Properties=species:S:1:pos:R:3 comment="PBE-GGA Na2TiS2O, relaxed" e_tot_ev_per_fu=-34.1 space_group="P2_1/c, No. 14" pbc="T T T"
Na 0.618 1.914 0.238
Na -0.527 4.946 2.900
Na 1.644 7.653 0.787
Na 0.499 12.927 3.449
Na 4.141 0.793 1.874
Na 2.996 6.067 4.536
Na 5.167 8.774 2.423
Na 4.022 11.806 5.085
Ti 1.800 2.510 3.527
Ti 2.944 4.350 0.865
Ti 1.696 9.370 4.458
Ti 2.840 11.210 1.796
S -0.312 1.962 2.975
S 0.833 4.898 0.313
S 0.654 7.660 3.448
S 1.799 12.920 0.787
S 2.841 0.800 4.536
S 3.986 6.060 1.875
S 3.807 8.822 5.010
S 4.952 11.758 2.348
O 3.025 9.722 0.699
O 1.880 10.858 3.361
O 2.760 2.862 1.962
O 1.615 3.998 4.624

---

3
Lattice="0.000 3.058 3.058 3.058 0.000 3.058 3.058 3.058 0.000" Properties=species:S:1:pos:R:3 comment="PBE-GGA MnSbIr, relaxed" e_tot_ev_per_fu=-22.7 space_group="F-43m, No. 216" pbc="T T T"
Mn 0.000 0.000 0.000
Sb 3.058 3.058 3.058
Ir 1.529 1.529 1.529

---

8
Lattice="5.905 0.000 0.000 -2.953 5.114 0.000 0.000 0.000 4.855" Properties=species:S:1:pos:R:3 comment="PBE-GGA Ge3P, relaxed" e_tot_ev_per_fu=-17.5 space_group="P6_3/mmc, No. 194" pbc="T T T"
Ge 0.000 1.738 1.214
Ge -1.448 4.245 1.214
Ge 1.505 0.869 3.641
Ge 1.448 4.245 1.214
Ge 4.400 0.869 3.641
Ge 2.953 3.376 3.641
P 0.000 3.409 3.641
P 2.953 1.705 1.214